No. 1
First-principles (PBE) data for an optimized crystal structure of NbAg7S6, as listed in the Materials Project.

Cell lengths 7.5521, 7.5736, 7.6431 Å; angles 92.19, 117.77, 118.52 degrees
Element x y z (fractional)
Ag: 0.0845 0.1957 0.3060
Nb: 0.9816 0.4860 0.5045
S: 0.7424 0.1124 0.3692
Ag: 0.6346 0.6357 0.6761
Ag: 0.0638 0.7140 0.0638
Ag: 0.0941 0.9732 0.6146
Ag: 0.8816 0.2589 0.8890
Ag: 0.4266 0.0137 0.4956
S: 0.5201 0.2889 0.7766
S: 0.0157 0.0093 0.9788
S: 0.2456 0.6136 0.3870
Ag: 0.4542 0.1964 0.0863
S: 0.7305 0.6064 0.3845
S: 0.2067 0.5917 0.8601

Output
- Energy of formation from the pure elements: -420 meV per atom
- E (MP2020): -60.63 eV for the cell shown
- Crystal system: triclinic
- Electronic total energy: -4.115 eV/atom
- Magnetic moment: 0.0 μB per cell
- SG: No. 1

***

No. 2
First-principles (PBE) data for an optimized crystal structure of CeCo2B2C, as listed in the Materials Project.

Cell lengths 5.6068, 5.6068, 5.6068 Å; angles 142.18, 142.18, 54.56 degrees
Element x y z (fractional)
C: 0.0000 0.0000 0.0000
Co: 0.7500 0.2500 0.5000
Ce: 0.5000 0.5000 0.0000
Co: 0.2500 0.7500 0.5000
B: 0.1526 0.1526 0.0000
B: 0.8474 0.8474 0.0000

Output
- Energy of formation from the pure elements: -468 meV per atom
- Crystal system: tetragonal
- Electronic total energy: -7.591 eV/atom
- SG: No. 139

***

No. 3
First-principles (PBE) data for an optimized crystal structure of Ba3Zn5In2O11, as listed in the Materials Project.

Cell lengths 9.5923, 9.5923, 9.5923 Å; angles 60.00, 60.00, 60.00 degrees
Element x y z (fractional)
Ba: 0.9568 0.5432 0.5432
O: 0.9081 0.9081 0.2758
O: 0.9164 0.2525 0.2525
Zn: 0.1684 0.8316 0.8316
O: 0.5786 0.2525 0.2525
Zn: 0.1670 0.1670 0.1670
O: 0.2525 0.2525 0.9164
O: 0.5813 0.5813 0.2560
O: 0.7500 0.7500 0.7500
O: 0.9164 0.5786 0.2525
Zn: 0.1670 0.1670 0.4990
In: 0.4153 0.4153 0.7540
O: 0.2525 0.5786 0.2525
Zn: 0.1670 0.4990 0.1670
Ba: 0.9568 0.5432 0.9568
O: 0.2560 0.5813 0.5813
Ba: 0.5432 0.5432 0.9568
O: 0.5813 0.2560 0.5813
O: 0.2525 0.9164 0.5786
O: 0.2758 0.9081 0.9081
O: 0.9081 0.2758 0.9081
O: 0.5786 0.9164 0.2525
Ba: 0.5432 0.9568 0.9568
O: 0.5813 0.5813 0.5813
Ba: 0.5432 0.9568 0.5432
O: 0.5786 0.2525 0.9164
In: 0.4153 0.7540 0.4153
Zn: 0.4990 0.1670 0.1670
O: 0.2525 0.9164 0.2525
Zn: 0.1684 0.1684 0.8316
In: 0.7540 0.4153 0.4153
Zn: 0.1684 0.8316 0.1684
O: 0.2500 0.2500 0.2500
Zn: 0.8316 0.8316 0.1684
Ba: 0.9568 0.9568 0.5432
O: 0.9081 0.9081 0.9081
O: 0.2525 0.2525 0.5786
Zn: 0.8316 0.1684 0.8316
O: 0.9164 0.2525 0.5786
In: 0.4153 0.4153 0.4153
O: 0.2525 0.5786 0.9164
Zn: 0.8316 0.1684 0.1684

Output
- Energy of formation from the pure elements: -2184 meV per atom
- E (MP2020): -235.68 eV for the cell shown
- Crystal system: cubic
- Electronic total energy: -5.252 eV/atom
- Magnetic moment: 0.0 μB per cell
- SG: No. 216

***

No. 4
First-principles (PBE) data for an optimized crystal structure of MoWSeS3, as listed in the Materials Project.

Cell lengths 3.2225, 3.2225, 36.3893 Å; angles 90.00, 90.00, 120.00 degrees
Element x y z (fractional)
S: 0.3333 0.6667 0.1366
Mo: 0.0000 0.0000 0.0939
S: 0.0000 0.0000 0.7004
S: 0.3333 0.6667 0.4270
W: 0.3333 0.6667 0.2818
S: 0.0000 0.0000 0.6146
S: 0.3333 0.6667 0.5124
Mo: 0.0000 0.0000 0.4697
W: 0.3333 0.6667 0.6575
S: 0.3333 0.6667 0.0512
Se: 0.0000 0.0000 0.2345
Se: 0.0000 0.0000 0.3291

Output
- Energy of formation from the pure elements: -1017 meV per atom
- E (MP2020): -91.62 eV for the cell shown
- Crystal system: trigonal
- Electronic total energy: -7.384 eV/atom
- Magnetic moment: 0.0 μB per cell
- SG: No. 156

***

No. 5
First-principles (PBE) data for an optimized crystal structure of Na2BeCl4, as listed in the Materials Project.

Cell lengths 6.1309, 8.1188, 13.6607 Å; angles 90.00, 90.00, 90.00 degrees
Element x y z (fractional)
Na: 0.0075 0.7500 0.7257
Cl: 0.7139 0.9525 0.8381
Cl: 0.2418 0.7500 0.4066
Be: 0.9113 0.7500 0.4072
Na: 0.5000 0.5000 0.5000
Be: 0.0887 0.2500 0.5928
Cl: 0.7875 0.7500 0.5473
Na: 0.9925 0.2500 0.2743
Cl: 0.2139 0.4525 0.6619
Cl: 0.2125 0.2500 0.4527
Be: 0.5887 0.7500 0.9072
Cl: 0.2861 0.0475 0.1619
Cl: 0.7418 0.2500 0.0934
Cl: 0.2139 0.0475 0.6619
Cl: 0.7582 0.2500 0.5934
Na: 0.5075 0.2500 0.7743
Cl: 0.2875 0.2500 0.9527
Cl: 0.7139 0.5475 0.8381
Be: 0.4113 0.2500 0.0928
Cl: 0.7861 0.5475 0.3381
Cl: 0.2861 0.4525 0.1619
Cl: 0.7861 0.9525 0.3381
Na: 0.5000 0.0000 0.5000
Na: 0.4925 0.7500 0.2257
Cl: 0.7125 0.7500 0.0473
Cl: 0.2582 0.7500 0.9066
Na: 0.0000 0.5000 0.0000
Na: 0.0000 0.0000 0.0000

Output
- Energy of formation from the pure elements: -2014 meV per atom
- E (MP2020): -111.50 eV for the cell shown
- Crystal system: orthorhombic
- Electronic total energy: -3.631 eV/atom
- SG: No. 62

***

No. 6
First-principles (PBE) data for an optimized crystal structure of NaErO2, as listed in the Materials Project.

Cell lengths 3.3886, 3.3886, 5.9048 Å; angles 73.33, 73.33, 60.00 degrees
Element x y z (fractional)
O: 0.7364 0.7364 0.7907
O: 0.2636 0.2636 0.2093
Er: 0.0000 0.0000 0.0000
Na: 0.5000 0.5000 0.5000

Output
- Energy of formation from the pure elements: -3189 meV per atom
- E (MP2020): -28.54 eV for the cell shown
- Crystal system: trigonal
- Electronic total energy: -6.792 eV/atom
- SG: No. 166

***

No. 7
First-principles (PBE) data for an optimized crystal structure of Sr5Sb22O38, as listed in the Materials Project.

Cell lengths 12.2167, 11.9201, 20.2246 Å; angles 55.31, 90.00, 90.00 degrees
Element x y z (fractional)
Sb: 0.1301 0.8012 0.1929
O: 0.6830 0.4614 0.5748
O: 0.1926 0.4180 0.0916
Sb: 0.8699 0.1988 0.8071
O: 0.9964 0.4720 0.8850
O: 0.8466 0.6550 0.5771
Sb: 0.4917 0.8353 0.4876
Sb: 0.8026 0.5076 0.4948
Sb: 0.6690 0.1798 0.0028
Sb: 0.3503 0.1455 0.3303
Sb: 0.0091 0.8146 0.6826
Sr: 0.8186 0.1686 0.1668
Sb: 0.0340 0.1443 0.6557
O: 0.3447 0.1706 0.5067
Sr: 0.1509 0.1483 0.1694
Sb: 0.3310 0.8202 0.9972
O: 0.1534 0.3450 0.4229
O: 0.1192 0.2605 0.2423
O: 0.8808 0.7395 0.7577
O: 0.9812 0.0599 0.2769
O: 0.9858 0.2394 0.0766
Sr: 0.6814 0.1686 0.6668
O: 0.9747 0.1271 0.5557
O: 0.1830 0.5386 0.9252
O: 0.3170 0.5386 0.4252
Sb: 0.1806 0.1494 0.5026
Sb: 0.3194 0.1494 0.0026
Sb: 0.3397 0.5091 0.3363
Sb: 0.5340 0.8557 0.8443
O: 0.6534 0.6550 0.0771
O: 0.4893 0.0370 0.3892
O: 0.1490 0.8943 0.2460
O: 0.0036 0.5280 0.1150
Sb: 0.0083 0.8353 0.9876
Sr: 0.3491 0.1483 0.6694
O: 0.5253 0.1271 0.0557
O: 0.1769 0.1496 0.6011
Sr: 0.6509 0.8517 0.3306
Sr: 0.5000 0.5000 0.5000
O: 0.4964 0.5280 0.6150
Sr: 0.1814 0.8314 0.8332
O: 0.3466 0.3450 0.9229
Sb: 0.4662 0.4910 0.8450
O: 0.5107 0.9630 0.6108
O: 0.3808 0.2605 0.7423
O: 0.4826 0.2929 0.2638
O: 0.7065 0.3135 0.0303
O: 0.5280 0.5805 0.2224
O: 0.6555 0.8990 0.7510
O: 0.4747 0.8729 0.9443
Sb: 0.6603 0.4909 0.6637
Sb: 0.8194 0.8506 0.4974
O: 0.6769 0.8504 0.8989
Sb: 0.9662 0.5090 0.6550
Sb: 0.8310 0.1798 0.5028
Sb: 0.1974 0.4924 0.5052
Sb: 0.3699 0.8012 0.6929
Sb: 0.4909 0.8146 0.1826
O: 0.1553 0.1706 0.0067
Sb: 0.8607 0.5358 0.8211
O: 0.2664 0.9476 0.4076
O: 0.3510 0.8943 0.7460
O: 0.0280 0.4195 0.2776
O: 0.1691 0.6052 0.2996
Sb: 0.5083 0.1647 0.5124
O: 0.8309 0.3948 0.7004
Sb: 0.8503 0.8545 0.1697
O: 0.8705 0.2867 0.2382
O: 0.4720 0.4195 0.7776
O: 0.1555 0.1010 0.7490
O: 0.2336 0.9476 0.9076
O: 0.6490 0.1057 0.2540
O: 0.0253 0.8729 0.4443
Sb: 0.3026 0.4924 0.0052
O: 0.8231 0.8504 0.3989
O: 0.5188 0.0599 0.7769
O: 0.9826 0.7071 0.2362
Sr: 0.0000 0.5000 0.0000
O: 0.8074 0.5820 0.9084
O: 0.0142 0.7606 0.9234
O: 0.6295 0.2867 0.7382
Sb: 0.0338 0.4910 0.3450
O: 0.6926 0.5820 0.4084
Sb: 0.1690 0.8202 0.4972
Sb: 0.4660 0.1443 0.1557
Sb: 0.1497 0.1455 0.8303
O: 0.5142 0.2394 0.5766
Sb: 0.1393 0.4642 0.1789
O: 0.8447 0.8294 0.9933
O: 0.4858 0.7606 0.4234
O: 0.6553 0.8294 0.4933
O: 0.3231 0.1496 0.1011
O: 0.3309 0.6052 0.7996
O: 0.7935 0.3135 0.5303
O: 0.9720 0.5805 0.7224
O: 0.0188 0.9401 0.7231
Sb: 0.8397 0.4909 0.1637
Sb: 0.3607 0.4642 0.6789
O: 0.2065 0.6865 0.4697
O: 0.4812 0.9401 0.2231
O: 0.1295 0.7133 0.7618
O: 0.2935 0.6865 0.9697
Sb: 0.9909 0.1854 0.3174
Sr: 0.3186 0.8314 0.3332
Sb: 0.6974 0.5076 0.9948
O: 0.8510 0.1057 0.7540
Sb: 0.5337 0.5090 0.1550
Sb: 0.9660 0.8557 0.3443
Sr: 0.8491 0.8517 0.8306
Sb: 0.6301 0.1988 0.3071
Sb: 0.9917 0.1647 0.0124
O: 0.3445 0.1010 0.2490
O: 0.8170 0.4614 0.0748
O: 0.6691 0.3948 0.2004
O: 0.9893 0.9630 0.1108
O: 0.8445 0.8990 0.2510
O: 0.3705 0.7133 0.2618
O: 0.6192 0.7395 0.2577
O: 0.5036 0.4720 0.3850
O: 0.7664 0.0524 0.0924
O: 0.3074 0.4180 0.5916
O: 0.0107 0.0370 0.8892
Sb: 0.1603 0.5091 0.8363
Sb: 0.6393 0.5358 0.3211
O: 0.5174 0.7071 0.7362
O: 0.0174 0.2929 0.7638
Sb: 0.6497 0.8545 0.6697
Sb: 0.5091 0.1854 0.8174
O: 0.7336 0.0524 0.5924
Sb: 0.6806 0.8506 0.9974

Output
- Energy of formation from the pure elements: -2044 meV per atom
- E (MP2020): -840.39 eV for the cell shown
- Crystal system: monoclinic
- Electronic total energy: -6.063 eV/atom
- Magnetic moment: 0.0 μB per cell
- SG: No. 14

***

No. 8
First-principles (PBE) data for an optimized crystal structure of Mg2Ti3WS8, as listed in the Materials Project.

Cell lengths 7.2750, 7.2835, 7.2749 Å; angles 60.52, 60.60, 60.52 degrees
Element x y z (fractional)
S: 0.7229 0.2592 0.2588
S: 0.7406 0.2774 0.7405
S: 0.2771 0.7408 0.7412
Ti: 0.5000 0.5000 0.0000
W: 0.5000 0.5000 0.5000
Mg: 0.8749 0.8747 0.8749
Ti: 0.5000 0.0000 0.5000
S: 0.2588 0.2592 0.7229
S: 0.7412 0.7408 0.2770
Mg: 0.1251 0.1253 0.1251
S: 0.2594 0.7226 0.2595
S: 0.7401 0.7405 0.7401
S: 0.2599 0.2595 0.2599
Ti: 0.0000 0.5000 0.5000

Output
- Energy of formation from the pure elements: -1383 meV per atom
- E (MP2020): -92.30 eV for the cell shown
- Crystal system: monoclinic
- Electronic total energy: -6.305 eV/atom
- Magnetic moment: 2.4 μB per cell
- SG: No. 12

***

Number 1: calculated volume 320.2 Å³/cell. Number 2: calculated volume 65.8 Å³/cell. Number 3: calculated volume 624.1 Å³/cell. Number 4: calculated volume 327.3 Å³/cell. Number 5: calculated volume 680.0 Å³/cell. Number 6: calculated volume 55.4 Å³/cell. Number 7: calculated volume 2421.8 Å³/cell. Number 8: calculated volume 276.0 Å³/cell.